1.
{"formula": "Na18Mg4Nb20Si27S9O144", "functional": "PBE-GGA", "state": "optimized geometry", "cell": [[17.938, 0.014, 0.002], [-4.478, 7.750, -0.005], [0.003, -0.013, 22.846]], "species": ["Na", "Na", "Na", "Na", "Na", "Na", "Na", "Na", "Na", "Na", "Na", "Na", "Na", "Na", "Na", "Na", "Na", "Na", "Mg", "Mg", "Mg", "Mg", "Nb", "Nb", "Nb", "Nb", "Nb", "Nb", "Nb", "Nb", "Nb", "Nb", "Nb", "Nb", "Nb", "Nb", "Nb", "Nb", "Nb", "Nb", "Nb", "Nb", "Si", "Si", "Si", "Si", "Si", "Si", "Si", "Si", "Si", "Si", "Si", "Si", "Si", "Si", "Si", "Si", "Si", "Si", "Si", "Si", "Si", "Si", "Si", "Si", "Si", "Si", "Si", "S", "S", "S", "S", "S", "S", "S", "S", "S", "O", "O", "O", "O", "O", "O", "O", "O", "O", "O", "O", "O", "O", "O", "O", "O", "O", "O", "O", "O", "O", "O", "O", "O", "O", "O", "O", "O", "O", "O", "O", "O", "O", "O", "O", "O", "O", "O", "O", "O", "O", "O", "O", "O", "O", "O", "O", "O", "O", "O", "O", "O", "O", "O", "O", "O", "O", "O", "O", "O", "O", "O", "O", "O", "O", "O", "O", "O", "O", "O", "O", "O", "O", "O", "O", "O", "O", "O", "O", "O", "O", "O", "O", "O", "O", "O", "O", "O", "O", "O", "O", "O", "O", "O", "O", "O", "O", "O", "O", "O", "O", "O", "O", "O", "O", "O", "O", "O", "O", "O", "O", "O", "O", "O", "O", "O", "O", "O", "O", "O", "O", "O", "O", "O", "O", "O", "O", "O", "O", "O", "O", "O", "O", "O", "O", "O", "O", "O", "O", "O", "O", "O", "O", "O"], "fractional_positions": [[0.316, 0.015, 0.243], [0.816, 0.011, 0.250], [0.994, 0.622, 0.243], [0.317, 0.621, 0.752], [0.816, 0.618, 0.746], [0.494, 0.366, 0.744], [0.996, 0.996, 0.496], [0.501, 0.002, 0.499], [0.001, 0.000, 0.000], [0.495, 0.991, 0.998], [0.327, 0.323, 0.829], [0.833, 0.330, 0.827], [0.334, 0.337, 0.324], [0.827, 0.331, 0.324], [0.166, 0.664, 0.161], [0.658, 0.655, 0.169], [0.163, 0.666, 0.672], [0.664, 0.665, 0.663], [0.335, 0.330, 0.691], [0.832, 0.341, 0.687], [0.338, 0.328, 0.186], [0.835, 0.340, 0.190], [0.999, 0.000, 0.355], [0.507, 0.014, 0.356], [0.008, 0.000, 0.858], [0.498, 0.996, 0.856], [0.003, 0.992, 0.648], [0.501, 0.013, 0.651], [0.001, 0.990, 0.149], [0.503, 0.005, 0.143], [0.341, 0.339, 0.978], [0.840, 0.350, 0.974], [0.341, 0.333, 0.474], [0.833, 0.343, 0.475], [0.167, 0.676, 0.020], [0.662, 0.668, 0.018], [0.167, 0.665, 0.516], [0.667, 0.659, 0.520], [0.163, 0.660, 0.314], [0.663, 0.665, 0.310], [0.165, 0.664, 0.813], [0.662, 0.664, 0.815], [0.149, 0.010, 0.252], [0.645, 0.004, 0.249], [0.853, 0.705, 0.251], [0.001, 0.288, 0.249], [0.499, 0.291, 0.250], [0.145, 0.289, 0.749], [0.649, 0.289, 0.753], [0.999, 0.702, 0.753], [0.502, 0.715, 0.749], [0.352, 0.000, 0.752], [0.478, 0.333, 0.587], [0.833, 0.624, 0.586], [0.477, 0.620, 0.087], [0.978, 0.621, 0.087], [0.332, 0.045, 0.087], [0.309, 0.664, 0.917], [0.810, 0.673, 0.916], [0.025, 0.379, 0.917], [0.521, 0.372, 0.917], [0.171, 0.959, 0.917], [0.667, 0.961, 0.917], [0.312, 0.952, 0.414], [0.810, 0.952, 0.417], [0.167, 0.373, 0.416], [0.667, 0.384, 0.415], [0.022, 0.670, 0.417], [0.526, 0.674, 0.417], [0.357, 0.711, 0.250], [0.857, 0.004, 0.750], [0.978, 0.334, 0.584], [0.190, 0.045, 0.584], [0.690, 0.047, 0.584], [0.333, 0.622, 0.584], [0.834, 0.045, 0.084], [0.189, 0.333, 0.084], [0.692, 0.337, 0.084], [0.095, 0.019, 0.309], [0.594, 0.020, 0.307], [0.408, 0.793, 0.303], [0.916, 0.809, 0.307], [0.488, 0.162, 0.307], [0.990, 0.168, 0.306], [0.092, 0.165, 0.806], [0.595, 0.171, 0.808], [0.490, 0.812, 0.806], [0.984, 0.808, 0.806], [0.416, 0.024, 0.807], [0.908, 0.026, 0.802], [0.402, 0.967, 0.694], [0.898, 0.970, 0.696], [0.081, 0.192, 0.692], [0.582, 0.202, 0.695], [0.012, 0.832, 0.694], [0.517, 0.839, 0.691], [0.395, 0.822, 0.197], [0.902, 0.838, 0.194], [0.017, 0.196, 0.191], [0.512, 0.188, 0.194], [0.082, 0.962, 0.195], [0.582, 0.971, 0.192], [0.438, 0.361, 0.645], [0.940, 0.359, 0.636], [0.240, 0.121, 0.636], [0.741, 0.124, 0.636], [0.318, 0.523, 0.637], [0.819, 0.518, 0.645], [0.437, 0.508, 0.143], [0.938, 0.514, 0.145], [0.313, 0.109, 0.146], [0.820, 0.117, 0.137], [0.239, 0.356, 0.137], [0.741, 0.357, 0.136], [0.228, 0.307, 0.031], [0.729, 0.309, 0.030], [0.420, 0.531, 0.026], [0.915, 0.522, 0.028], [0.346, 0.168, 0.028], [0.843, 0.151, 0.031], [0.227, 0.146, 0.530], [0.732, 0.153, 0.531], [0.341, 0.535, 0.531], [0.847, 0.525, 0.528], [0.415, 0.308, 0.528], [0.927, 0.311, 0.530], [0.262, 0.693, 0.973], [0.763, 0.695, 0.974], [0.083, 0.466, 0.975], [0.583, 0.473, 0.973], [0.151, 0.835, 0.974], [0.653, 0.835, 0.973], [0.262, 0.832, 0.473], [0.762, 0.831, 0.473], [0.154, 0.474, 0.474], [0.652, 0.467, 0.474], [0.083, 0.691, 0.474], [0.583, 0.699, 0.475], [0.067, 0.636, 0.359], [0.568, 0.634, 0.360], [0.252, 0.865, 0.357], [0.752, 0.871, 0.358], [0.183, 0.502, 0.361], [0.684, 0.502, 0.359], [0.067, 0.500, 0.859], [0.567, 0.496, 0.859], [0.182, 0.864, 0.859], [0.683, 0.865, 0.860], [0.252, 0.636, 0.857], [0.752, 0.639, 0.857], [0.013, 0.838, 0.413], [0.510, 0.834, 0.409], [0.406, 0.972, 0.410], [0.906, 0.976, 0.410], [0.081, 0.189, 0.412], [0.583, 0.190, 0.411], [0.010, 0.185, 0.908], [0.513, 0.187, 0.912], [0.083, 0.974, 0.910], [0.582, 0.974, 0.910], [0.405, 0.834, 0.909], [0.906, 0.839, 0.908], [0.488, 0.156, 0.588], [0.990, 0.180, 0.588], [0.100, 0.023, 0.588], [0.602, 0.029, 0.588], [0.410, 0.796, 0.586], [0.921, 0.824, 0.590], [0.491, 0.818, 0.091], [0.988, 0.819, 0.089], [0.420, 0.024, 0.091], [0.913, 0.028, 0.087], [0.100, 0.174, 0.088], [0.602, 0.180, 0.087], [0.348, 0.172, 0.747], [0.846, 0.152, 0.740], [0.240, 0.318, 0.743], [0.741, 0.310, 0.747], [0.418, 0.529, 0.745], [0.915, 0.519, 0.746], [0.344, 0.538, 0.244], [0.848, 0.525, 0.247], [0.414, 0.304, 0.250], [0.917, 0.307, 0.246], [0.242, 0.174, 0.247], [0.741, 0.163, 0.244], [0.318, 0.493, 0.926], [0.819, 0.498, 0.925], [0.428, 0.361, 0.923], [0.928, 0.357, 0.926], [0.252, 0.150, 0.925], [0.753, 0.147, 0.928], [0.319, 0.140, 0.425], [0.821, 0.145, 0.430], [0.253, 0.360, 0.429], [0.751, 0.356, 0.425], [0.429, 0.500, 0.426], [0.929, 0.494, 0.426], [0.177, 0.486, 0.078], [0.680, 0.491, 0.077], [0.074, 0.646, 0.075], [0.577, 0.648, 0.075], [0.251, 0.846, 0.074], [0.757, 0.867, 0.076], [0.177, 0.865, 0.577], [0.679, 0.871, 0.578], [0.254, 0.645, 0.576], [0.751, 0.655, 0.575], [0.068, 0.492, 0.577], [0.574, 0.502, 0.575], [0.154, 0.827, 0.258], [0.652, 0.827, 0.256], [0.271, 0.704, 0.256], [0.763, 0.708, 0.255], [0.089, 0.482, 0.256], [0.589, 0.476, 0.257], [0.151, 0.478, 0.756], [0.655, 0.482, 0.757], [0.090, 0.702, 0.755], [0.589, 0.695, 0.756], [0.262, 0.817, 0.755], [0.771, 0.839, 0.754]], "final_energy_ev_per_atom": -7.460}



2.
{"formula": "InGaAs2", "functional": "PBE-GGA", "state": "optimized geometry", "cell": [[-2.988, -2.988, 0.000], [0.000, 0.000, -5.962], [2.988, -2.988, 0.000]], "species": ["In", "Ga", "As", "As"], "fractional_positions": [[0.000, 0.250, 0.500], [0.500, 0.750, 0.000], [0.000, 0.982, 0.000], [0.500, 0.518, 0.500]], "de_polymorph_mev_per_atom": 0.0}



3.
{"formula": "Ba2TlSn2O7", "functional": "PBE-GGA", "state": "optimized geometry", "cell": [[4.063, 0.000, 0.000], [0.000, 4.063, 0.000], [0.000, 0.000, 12.724]], "species": ["Ba", "Ba", "Tl", "Sn", "Sn", "O", "O", "O", "O", "O", "O", "O"], "fractional_positions": [[0.500, 0.500, 0.701], [0.500, 0.500, 0.299], [0.000, 0.000, 0.500], [0.000, 0.000, 0.874], [0.000, 0.000, 0.126], [0.500, 0.500, 0.500], [0.000, 0.500, 0.851], [0.500, 0.000, 0.851], [0.000, 0.500, 0.149], [0.500, 0.000, 0.149], [0.000, 0.000, 0.670], [0.000, 0.000, 0.330]], "final_energy_ev_per_atom": -5.616}



4.
{"formula": "BaRhO3", "functional": "PBE-GGA", "state": "optimized geometry", "cell": [[2.915, -5.049, 0.000], [2.915, 5.049, 0.000], [0.000, 0.000, 9.811]], "species": ["Ba", "Ba", "Ba", "Ba", "Rh", "Rh", "Rh", "Rh", "O", "O", "O", "O", "O", "O", "O", "O", "O", "O", "O", "O"], "fractional_positions": [[0.667, 0.333, 0.750], [0.333, 0.667, 0.250], [0.000, 0.000, 0.500], [0.000, 0.000, 0.000], [0.333, 0.667, 0.886], [0.667, 0.333, 0.386], [0.667, 0.333, 0.114], [0.333, 0.667, 0.614], [0.183, 0.365, 0.750], [0.817, 0.183, 0.250], [0.365, 0.183, 0.250], [0.635, 0.817, 0.750], [0.183, 0.817, 0.750], [0.817, 0.635, 0.250], [0.500, 0.000, 0.500], [0.500, 0.500, 0.000], [0.500, 0.000, 0.000], [0.500, 0.500, 0.500], [0.000, 0.500, 0.500], [0.000, 0.500, 0.000]], "final_energy_ev_per_atom": -6.411}



5.
{"formula": "Ga40AgMo8", "functional": "PBE-GGA", "state": "optimized geometry", "cell": [[6.508, -7.058, 0.000], [6.508, 7.058, 0.000], [-1.148, 0.000, 9.532]], "species": ["Ga", "Ga", "Ga", "Ga", "Ga", "Ga", "Ga", "Ga", "Ga", "Ga", "Ga", "Ga", "Ga", "Ga", "Ga", "Ga", "Ga", "Ga", "Ga", "Ga", "Ga", "Ga", "Ga", "Ga", "Ga", "Ga", "Ga", "Ga", "Ga", "Ga", "Ga", "Ga", "Ga", "Ga", "Ga", "Ga", "Ga", "Ga", "Ga", "Ga", "Ag", "Mo", "Mo", "Mo", "Mo", "Mo", "Mo", "Mo", "Mo"], "fractional_positions": [[0.500, 0.500, 0.500], [0.500, 0.500, 0.000], [0.500, 0.000, 0.500], [0.000, 0.500, 0.500], [0.389, 0.366, 0.734], [0.366, 0.734, 0.389], [0.734, 0.389, 0.366], [0.611, 0.634, 0.266], [0.634, 0.266, 0.611], [0.266, 0.611, 0.634], [0.462, 0.221, 0.325], [0.221, 0.325, 0.462], [0.325, 0.462, 0.221], [0.538, 0.779, 0.675], [0.779, 0.675, 0.538], [0.675, 0.538, 0.779], [0.551, 0.926, 0.222], [0.926, 0.222, 0.551], [0.222, 0.551, 0.926], [0.449, 0.074, 0.778], [0.074, 0.778, 0.449], [0.778, 0.449, 0.074], [0.401, 0.213, 0.032], [0.213, 0.032, 0.401], [0.032, 0.401, 0.213], [0.599, 0.787, 0.968], [0.787, 0.968, 0.599], [0.968, 0.599, 0.787], [0.127, 0.260, 0.945], [0.260, 0.945, 0.127], [0.945, 0.127, 0.260], [0.873, 0.740, 0.055], [0.740, 0.055, 0.873], [0.055, 0.873, 0.740], [0.321, 0.823, 0.875], [0.823, 0.875, 0.321], [0.875, 0.321, 0.823], [0.679, 0.177, 0.125], [0.177, 0.125, 0.679], [0.125, 0.679, 0.177], [0.000, 0.000, 0.000], [0.200, 0.200, 0.200], [0.800, 0.800, 0.800], [0.112, 0.388, 0.708], [0.388, 0.708, 0.112], [0.708, 0.112, 0.388], [0.888, 0.612, 0.292], [0.612, 0.292, 0.888], [0.292, 0.888, 0.612]], "final_energy_ev_per_atom": -4.445}



6.
{"formula": "Sr3YB3O9", "functional": "PBE-GGA", "state": "optimized geometry", "cell": [[4.826, -6.292, 0.000], [4.826, 6.292, 0.000], [-3.377, 0.000, 7.174]], "species": ["Sr", "Sr", "Sr", "Sr", "Sr", "Sr", "Y", "Y", "B", "B", "B", "B", "B", "B", "O", "O", "O", "O", "O", "O", "O", "O", "O", "O", "O", "O", "O", "O", "O", "O", "O", "O"], "fractional_positions": [[0.360, 0.735, 0.861], [0.861, 0.360, 0.735], [0.735, 0.861, 0.360], [0.640, 0.265, 0.139], [0.139, 0.640, 0.265], [0.265, 0.139, 0.640], [0.500, 0.500, 0.500], [0.000, 0.000, 0.000], [0.707, 0.611, 0.960], [0.960, 0.707, 0.611], [0.611, 0.960, 0.707], [0.040, 0.293, 0.389], [0.389, 0.040, 0.293], [0.293, 0.389, 0.040], [0.045, 0.812, 0.522], [0.522, 0.045, 0.812], [0.446, 0.493, 0.205], [0.493, 0.205, 0.446], [0.205, 0.446, 0.493], [0.795, 0.554, 0.507], [0.554, 0.507, 0.795], [0.507, 0.795, 0.554], [0.252, 0.197, 0.968], [0.197, 0.968, 0.252], [0.968, 0.252, 0.197], [0.748, 0.803, 0.032], [0.803, 0.032, 0.748], [0.032, 0.748, 0.803], [0.188, 0.478, 0.955], [0.478, 0.955, 0.188], [0.955, 0.188, 0.478], [0.812, 0.522, 0.045]], "final_energy_ev_per_atom": -7.702}



7.
{"formula": "Sn3Ir2S3", "functional": "PBE-GGA", "state": "optimized geometry", "cell": [[-5.485, -5.532, 4.347], [-0.993, -4.848, -7.422], [6.965, -5.048, 2.366]], "species": ["Sn", "Sn", "Sn", "Sn", "Sn", "Sn", "Sn", "Sn", "Sn", "Sn", "Sn", "Sn", "Ir", "Ir", "Ir", "Ir", "Ir", "Ir", "Ir", "Ir", "S", "S", "S", "S", "S", "S", "S", "S", "S", "S", "S", "S"], "fractional_positions": [[0.675, 0.000, 0.161], [0.325, 0.000, 0.839], [0.325, 0.000, 0.161], [0.675, 0.000, 0.839], [0.161, 0.675, 0.000], [0.839, 0.325, 0.000], [0.161, 0.325, 0.000], [0.839, 0.675, 0.000], [0.000, 0.161, 0.675], [0.000, 0.839, 0.325], [0.000, 0.161, 0.325], [0.000, 0.839, 0.675], [0.723, 0.277, 0.277], [0.277, 0.277, 0.723], [0.277, 0.723, 0.277], [0.723, 0.723, 0.723], [0.277, 0.723, 0.723], [0.723, 0.723, 0.277], [0.723, 0.277, 0.723], [0.277, 0.277, 0.277], [0.182, 0.500, 0.628], [0.818, 0.500, 0.372], [0.818, 0.500, 0.628], [0.182, 0.500, 0.372], [0.628, 0.182, 0.500], [0.372, 0.818, 0.500], [0.628, 0.818, 0.500], [0.372, 0.182, 0.500], [0.500, 0.628, 0.182], [0.500, 0.372, 0.818], [0.500, 0.628, 0.818], [0.500, 0.372, 0.182]], "final_energy_ev_per_atom": -5.420}



8.
{"formula": "NiN", "functional": "PBE-GGA", "state": "optimized geometry", "cell": [[0.000, 2.158, 2.158], [2.158, 0.000, 2.158], [2.158, 2.158, 0.000]], "species": ["Ni", "N"], "fractional_positions": [[0.000, 0.000, 0.000], [0.250, 0.250, 0.250]], "de_polymorph_mev_per_atom": 0.0}